1.
Material: V2Pb3O8
Method: DFT, GGA+U
State: relaxed

The crystal system is monoclinic. The density comes out at 6.608 g/cm3. Its space-group type is P2_1/c, No. 14. As for the relative energy among the computed polymorphs: 0 meV per atom. For the formation energy, the calculation gives -2.07 eV/atom.

a = 6.571 Å, b = 7.508 Å, c = 9.535 Å
α = 65.48°, β = 90.00°, γ = 90.00°
Fractional positions:
O  0.266  0.728  0.014
Pb  0.500  0.000  0.500
O  0.766  0.272  0.486
O  0.960  0.958  0.729
Pb  0.388  0.385  0.713
O  0.198  0.242  0.479
O  0.040  0.042  0.271
O  0.234  0.728  0.514
V  0.981  0.199  0.600
O  0.698  0.758  0.021
O  0.025  0.328  0.717
O  0.802  0.758  0.521
O  0.302  0.242  0.979
Pb  0.112  0.385  0.213
Pb  0.612  0.615  0.287
V  0.519  0.199  0.100
O  0.734  0.272  0.986
O  0.475  0.328  0.217
O  0.525  0.672  0.783
Pb  0.888  0.615  0.787
V  0.019  0.801  0.400
O  0.540  0.958  0.229
V  0.481  0.801  0.900
O  0.975  0.672  0.283
Pb  0.000  0.000  0.000
O  0.460  0.042  0.771



2.
Material: Na3Mn4Te2O12
Method: DFT, GGA+U
State: relaxed

The crystal system is orthorhombic. The density comes out at 4.847 g/cm3. Its space-group type is Pnma, No. 62. For the formation energy, the calculation gives -1.91 eV/atom.

a = 9.354 Å, b = 9.616 Å, c = 11.212 Å
α = 90.00°, β = 90.00°, γ = 90.00°
Fractional positions:
Mn  0.083  0.916  0.392
O  0.907  0.374  0.992
O  0.250  0.487  0.216
O  0.101  0.194  0.156
O  0.750  0.603  0.027
Mn  0.417  0.916  0.392
Na  0.917  0.748  0.146
O  0.250  0.274  0.666
Mn  0.917  0.584  0.892
O  0.750  0.513  0.784
O  0.903  0.076  0.917
Te  0.250  0.557  0.384
Te  0.750  0.416  0.103
Mn  0.583  0.584  0.892
O  0.750  0.013  0.716
O  0.403  0.924  0.083
O  0.407  0.126  0.492
O  0.403  0.424  0.417
Mn  0.913  0.070  0.112
Na  0.750  0.762  0.655
O  0.097  0.424  0.417
O  0.096  0.027  0.712
Na  0.250  0.238  0.345
O  0.250  0.397  0.973
O  0.097  0.924  0.083
O  0.904  0.973  0.288
O  0.899  0.306  0.656
Te  0.250  0.584  0.897
Na  0.417  0.752  0.646
Te  0.750  0.443  0.616
O  0.407  0.626  0.008
Mn  0.913  0.570  0.388
Mn  0.587  0.070  0.112
O  0.250  0.987  0.284
Te  0.750  0.943  0.884
O  0.750  0.226  0.166
O  0.750  0.103  0.473
Mn  0.087  0.430  0.612
Te  0.250  0.057  0.116
O  0.750  0.412  0.443
Na  0.083  0.752  0.646
Mn  0.417  0.416  0.108
O  0.250  0.088  0.943
O  0.899  0.806  0.844
Mn  0.083  0.416  0.108
Na  0.583  0.248  0.354
O  0.750  0.726  0.334
O  0.101  0.694  0.344
Na  0.583  0.748  0.146
Mn  0.917  0.084  0.608
O  0.593  0.874  0.508
O  0.750  0.912  0.057
O  0.601  0.806  0.844
O  0.250  0.897  0.527
Mn  0.413  0.930  0.888
O  0.593  0.374  0.992
Na  0.917  0.248  0.354
O  0.404  0.527  0.788
Na  0.417  0.252  0.854
O  0.404  0.027  0.712
Na  0.250  0.738  0.155
O  0.093  0.126  0.492
Te  0.750  0.916  0.397
O  0.596  0.473  0.212
O  0.250  0.774  0.834
O  0.250  0.588  0.557
O  0.596  0.973  0.288
Na  0.083  0.252  0.854
O  0.597  0.076  0.917
Te  0.250  0.084  0.603
O  0.399  0.194  0.156
O  0.904  0.473  0.212
O  0.096  0.527  0.788
O  0.597  0.576  0.583
Mn  0.587  0.570  0.388
Mn  0.413  0.430  0.612
Mn  0.087  0.930  0.888
O  0.399  0.694  0.344
O  0.093  0.626  0.008
O  0.907  0.874  0.508
Na  0.750  0.262  0.845
Mn  0.583  0.084  0.608
O  0.903  0.576  0.583
O  0.601  0.306  0.656



3.
Material: Li3Mn2O5
Method: DFT, GGA+U
State: relaxed

The crystal system is triclinic. The density comes out at 3.860 g/cm3. Its space-group type is P-1, No. 2. As for the relative energy among the computed polymorphs: 21 meV per atom. For the formation energy, the calculation gives -2.13 eV/atom.

a = 5.057 Å, b = 6.537 Å, c = 5.925 Å
α = 76.64°, β = 75.92°, γ = 97.33°
Fractional positions:
Li  0.402  0.801  0.708
O  0.273  0.109  0.671
Mn  0.795  0.592  0.412
O  0.484  0.503  0.285
O  0.114  0.726  0.046
O  0.725  0.903  0.855
O  0.286  0.080  0.151
Li  0.209  0.393  0.096
Mn  0.194  0.396  0.613
O  0.475  0.497  0.745
O  0.086  0.674  0.554
Li  0.600  0.200  0.800
Mn  0.405  0.808  0.188
Li  0.991  0.007  0.504
Li  0.600  0.200  0.300
O  0.914  0.320  0.449
O  0.716  0.897  0.315
Li  0.798  0.599  0.892
Mn  0.006  0.004  0.987
O  0.927  0.291  0.929



4.
Material: MnBiPO5
Method: DFT, GGA+U
State: relaxed

The crystal system is monoclinic. The density comes out at 5.564 g/cm3. Its space-group type is P2_1/c, No. 14. For the formation energy, the calculation gives -2.35 eV/atom.

a = 5.459 Å, b = 7.601 Å, c = 11.442 Å
α = 90.00°, β = 90.00°, γ = 109.49°
Fractional positions:
Mn  0.133  0.689  0.588
P  0.792  0.978  0.650
Bi  0.875  0.816  0.902
O  0.190  0.508  0.727
Bi  0.625  0.684  0.402
Mn  0.367  0.811  0.088
O  0.751  0.513  0.524
O  0.068  0.339  0.922
Mn  0.867  0.311  0.412
P  0.292  0.478  0.850
O  0.251  0.013  0.976
O  0.749  0.987  0.024
P  0.708  0.522  0.150
O  0.568  0.839  0.578
O  0.690  0.008  0.773
O  0.100  0.835  0.418
O  0.900  0.165  0.582
Bi  0.125  0.184  0.098
Mn  0.633  0.189  0.912
O  0.515  0.397  0.826
O  0.810  0.492  0.273
O  0.985  0.103  0.326
O  0.600  0.335  0.082
O  0.432  0.161  0.422
O  0.310  0.992  0.227
O  0.932  0.661  0.078
Bi  0.375  0.316  0.598
P  0.208  0.022  0.350
O  0.249  0.487  0.476
O  0.400  0.665  0.918
O  0.485  0.603  0.174
O  0.015  0.897  0.674



5.
Material: Li2VCrO4
Method: DFT, GGA+U
State: relaxed

The crystal system is monoclinic. The density comes out at 4.059 g/cm3. Its space-group type is Cm, No. 8. As for the relative energy among the computed polymorphs: 36 meV per atom. For the formation energy, the calculation gives -2.41 eV/atom.

a = 4.062 Å, b = 7.852 Å, c = 5.295 Å
α = 93.99°, β = 112.55°, γ = 105.00°
Fractional positions:
O  0.882  0.119  0.644
Li  0.246  0.755  0.738
O  0.254  0.236  0.271
O  0.385  0.614  0.155
V  0.501  0.499  0.504
O  0.118  0.881  0.355
O  0.489  0.013  0.965
Li  0.753  0.246  0.260
Li  0.128  0.370  0.886
V  0.999  0.000  0.000
O  0.989  0.509  0.468
Cr  0.876  0.627  0.125
Cr  0.372  0.126  0.619
O  0.766  0.745  0.788
Li  0.628  0.874  0.382
O  0.615  0.387  0.842



6.
Material: Fe2CuP2O10
Method: DFT, GGA+U
State: relaxed

The crystal system is monoclinic. The density comes out at 3.662 g/cm3. Its space-group type is P2_1, No. 4. For the formation energy, the calculation gives -1.93 eV/atom.

a = 6.912 Å, b = 7.264 Å, c = 8.141 Å
α = 90.00°, β = 90.00°, γ = 61.78°
Fractional positions:
Fe  0.742  0.983  0.724
O  0.211  0.301  0.362
Cu  0.998  0.000  0.000
O  0.204  0.801  0.140
O  0.560  0.422  0.302
O  0.161  0.644  0.463
P  0.741  0.756  0.093
P  0.743  0.256  0.407
O  0.796  0.699  0.640
O  0.659  0.635  0.984
O  0.442  0.576  0.695
O  0.661  0.135  0.516
Fe  0.741  0.476  0.780
O  0.839  0.856  0.963
O  0.933  0.115  0.294
O  0.341  0.865  0.484
P  0.259  0.744  0.593
P  0.257  0.244  0.907
O  0.840  0.357  0.535
Fe  0.258  0.517  0.224
O  0.066  0.385  0.794
O  0.339  0.365  0.016
O  0.558  0.924  0.195
O  0.932  0.616  0.204
O  0.160  0.142  0.035
O  0.068  0.884  0.704
O  0.440  0.078  0.802
O  0.789  0.199  0.862
Cu  0.002  0.500  0.500
Fe  0.259  0.024  0.280



7.
Material: Li7Mn5O12
Method: DFT, GGA+U
State: relaxed

The density comes out at 3.880 g/cm3. As for the relative energy among the computed polymorphs: 28 meV per atom. For the formation energy, the calculation gives -2.13 eV/atom.

a = 2.985 Å, b = 15.199 Å, c = 9.803 Å
α = 93.08°, β = 83.82°, γ = 92.82°
Fractional positions:
O  0.018  0.449  0.893
O  0.153  0.317  0.619
Li  0.889  0.453  0.243
O  0.151  0.983  0.620
O  0.847  0.350  0.381
Li  0.131  0.869  0.758
O  0.347  0.850  0.381
Mn  0.750  0.917  0.500
Mn  0.250  0.083  0.500
O  0.432  0.404  0.118
Li  0.000  0.333  0.000
Li  0.111  0.213  0.757
Li  0.611  0.713  0.757
Mn  0.250  0.417  0.500
Li  0.631  0.369  0.758
Mn  0.989  0.996  0.004
O  0.846  0.018  0.383
O  0.154  0.649  0.617
O  0.038  0.108  0.895
O  0.932  0.905  0.118
O  0.482  0.717  0.107
Mn  0.250  0.750  0.500
Mn  0.511  0.171  0.996
O  0.462  0.059  0.105
O  0.068  0.762  0.882
O  0.849  0.684  0.380
O  0.962  0.559  0.105
O  0.349  0.184  0.380
Mn  0.750  0.250  0.500
O  0.568  0.262  0.882
O  0.518  0.949  0.893
O  0.653  0.817  0.619
O  0.982  0.217  0.107
Li  0.375  0.625  0.253
Li  0.369  0.298  0.242
Li  0.875  0.125  0.253
O  0.654  0.149  0.617
Li  0.869  0.798  0.242
Li  0.500  0.833  0.000
Mn  0.489  0.496  0.004
O  0.538  0.608  0.895
Mn  0.750  0.583  0.500
O  0.346  0.518  0.383
O  0.651  0.483  0.620
Li  0.125  0.541  0.747
Li  0.389  0.953  0.243
Mn  0.011  0.671  0.996
Li  0.625  0.041  0.747



8.
Material: LiFe4B4O12
Method: DFT, GGA+U
State: relaxed

The crystal system is triclinic. The density comes out at 3.174 g/cm3. Its space-group type is P1, No. 1. As for the relative energy among the computed polymorphs: 4 meV per atom. For the formation energy, the calculation gives -2.23 eV/atom.

a = 5.222 Å, b = 9.222 Å, c = 11.331 Å
α = 112.88°, β = 102.75°, γ = 90.95°
Fractional positions:
Fe  0.890  0.571  0.123
O  0.077  0.652  0.322
Li  0.622  0.963  0.597
B  0.847  0.192  0.374
Fe  0.352  0.344  0.376
Li  0.836  0.502  0.348
B  0.384  0.397  0.129
B  0.892  0.894  0.119
O  0.967  0.093  0.428
Fe  0.100  0.432  0.872
O  0.505  0.176  0.620
Fe  0.652  0.643  0.625
O  0.522  0.404  0.567
B  0.644  0.303  0.619
O  0.785  0.522  0.925
O  0.021  0.936  0.585
O  0.850  0.071  0.853
O  0.691  0.715  0.833
O  0.498  0.814  0.398
Fe  0.392  0.066  0.121
O  0.204  0.213  0.824
Fe  0.849  0.852  0.369
O  0.196  0.468  0.067
B  0.353  0.678  0.374
B  0.148  0.820  0.623
Fe  0.142  0.153  0.620
O  0.293  0.286  0.170
O  0.007  0.690  0.610
O  0.341  0.578  0.868
O  0.152  0.920  0.126
O  0.572  0.167  0.323
O  0.802  0.786  0.163
O  0.986  0.316  0.369
Fe  0.606  0.931  0.869
O  0.919  0.330  0.672
O  0.478  0.559  0.407
O  0.426  0.846  0.669
O  0.299  0.030  0.926
B  0.600  0.606  0.875
B  0.111  0.104  0.868
O  0.708  0.979  0.069
O  0.647  0.439  0.151